Entry 1:
# Sr2FeCoO6 (PBE with a Hubbard U, relaxed)
data_Sr2FeCoO6
_symmetry_space_group_name_H-M 'P 1'
_symmetry_Int_Tables_number 1
_cell_length_a 5.475
_cell_length_b 5.475
_cell_length_c 5.475
_cell_angle_alpha 60.19
_cell_angle_beta 60.19
_cell_angle_gamma 60.19
loop_
_symmetry_equiv_pos_as_xyz
'x,y,z'
loop_
_atom_site_label
_atom_site_fract_x
_atom_site_fract_y
_atom_site_fract_z
Sr1 0.250 0.250 0.250
Sr2 0.750 0.750 0.750
Fe1 0.000 0.000 0.000
Co1 0.500 0.500 0.500
O1 0.254 0.745 0.745
O2 0.255 0.255 0.746
O3 0.255 0.746 0.255
O4 0.745 0.254 0.745
O5 0.745 0.745 0.254
O6 0.746 0.255 0.255
# Crystal system ... trigonal
# Energy of formation from the pure elements ... -20.9 eV/f.u.
# M_tot ... 7.1 μB per formula unit

---

Entry 2:
# BaNdDyFeO6 (PBE with a Hubbard U, relaxed)
data_BaNdDyFeO6
_symmetry_space_group_name_H-M 'P 1'
_symmetry_Int_Tables_number 1
_cell_length_a 5.839
_cell_length_b 5.839
_cell_length_c 5.839
_cell_angle_alpha 60.00
_cell_angle_beta 60.00
_cell_angle_gamma 60.00
loop_
_symmetry_equiv_pos_as_xyz
'x,y,z'
loop_
_atom_site_label
_atom_site_fract_x
_atom_site_fract_y
_atom_site_fract_z
Ba1 0.000 0.000 0.000
Nd1 0.500 0.500 0.500
Dy1 0.750 0.750 0.750
Fe1 0.250 0.250 0.250
O1 0.014 0.014 0.486
O2 0.014 0.486 0.014
O3 0.014 0.486 0.486
O4 0.486 0.014 0.014
O5 0.486 0.014 0.486
O6 0.486 0.486 0.014
# Crystal system ... cubic
# Energy of formation from the pure elements ... -28.3 eV/f.u.
# M_tot ... 4.0 μB per formula unit

---

Entry 3:
# MgZnCo4O8 (PBE with a Hubbard U, relaxed)
data_MgZnCo4O8
_symmetry_space_group_name_H-M 'P 1'
_symmetry_Int_Tables_number 1
_cell_length_a 2.954
_cell_length_b 7.544
_cell_length_c 7.867
_cell_angle_alpha 67.84
_cell_angle_beta 79.38
_cell_angle_gamma 78.88
loop_
_symmetry_equiv_pos_as_xyz
'x,y,z'
loop_
_atom_site_label
_atom_site_fract_x
_atom_site_fract_y
_atom_site_fract_z
Mg1 0.000 0.000 0.000
Zn1 0.273 0.205 0.250
Co1 0.097 0.617 0.186
Co2 0.256 0.879 0.607
Co3 0.580 0.255 0.590
Co4 0.831 0.470 0.865
O1 0.101 0.401 0.398
O2 0.102 0.067 0.733
O3 0.232 0.557 0.978
O4 0.426 0.386 0.753
O5 0.528 0.812 0.132
O6 0.746 0.061 0.448
O7 0.811 0.710 0.667
O8 0.849 0.227 0.070
# Crystal system ... triclinic
# Distance to the lowest polymorph of the same formula ... 77 meV per atom
# Energy of formation from the pure elements ... -19.3 eV/f.u.
# M_tot ... 11.9 μB per formula unit

---

Entry 4:
# Li6V3P8O29 (PBE with a Hubbard U, relaxed)
data_Li6V3P8O29
_symmetry_space_group_name_H-M 'P 1'
_symmetry_Int_Tables_number 1
_cell_length_a 9.764
_cell_length_b 9.777
_cell_length_c 13.948
_cell_angle_alpha 89.75
_cell_angle_beta 89.41
_cell_angle_gamma 60.15
loop_
_symmetry_equiv_pos_as_xyz
'x,y,z'
loop_
_atom_site_label
_atom_site_fract_x
_atom_site_fract_y
_atom_site_fract_z
Li1 0.000 0.000 0.000
Li2 0.000 0.440 0.502
Li3 0.139 0.434 0.997
Li4 0.238 0.104 0.560
Li5 0.250 0.047 0.069
Li6 0.468 0.778 0.620
Li7 0.471 0.200 0.118
Li8 0.548 0.445 0.449
Li9 0.570 0.002 0.500
Li10 0.572 0.864 0.997
Li11 0.905 0.336 0.121
Li12 0.910 0.196 0.622
V1 0.233 0.669 0.311
V2 0.237 0.538 0.806
V3 0.667 0.669 0.810
V4 0.670 0.102 0.309
V5 0.801 0.538 0.306
V6 0.803 0.100 0.808
P1 0.010 0.418 0.719
P2 0.015 0.017 0.221
P3 0.153 0.415 0.212
P4 0.155 0.881 0.714
P5 0.316 0.796 0.903
P6 0.320 0.320 0.400
P7 0.458 0.788 0.400
P8 0.461 0.190 0.898
P9 0.548 0.877 0.215
P10 0.549 0.014 0.714
P11 0.567 0.434 0.189
P12 0.572 0.436 0.688
P13 0.901 0.766 0.431
P14 0.901 0.768 0.929
P15 0.917 0.198 0.405
P16 0.919 0.330 0.903
O1 0.000 0.120 0.495
O2 0.005 0.332 0.992
O3 0.016 0.328 0.630
O4 0.017 0.102 0.131
O5 0.028 0.109 0.313
O6 0.030 0.306 0.810
O7 0.045 0.613 0.889
O8 0.048 0.765 0.383
O9 0.147 0.573 0.226
O10 0.152 0.445 0.724
O11 0.153 0.850 0.223
O12 0.154 0.725 0.725
O13 0.224 0.306 0.480
O14 0.227 0.899 0.987
O15 0.238 0.328 0.122
O16 0.238 0.901 0.809
O17 0.240 0.901 0.631
O18 0.248 0.301 0.301
O19 0.310 0.643 0.891
O20 0.316 0.764 0.402
O21 0.317 0.358 0.900
O22 0.331 0.473 0.396
O23 0.426 0.579 0.240
O24 0.431 0.427 0.735
O25 0.438 0.104 0.806
O26 0.440 0.896 0.307
O27 0.461 0.889 0.124
O28 0.463 0.087 0.623
O29 0.464 0.100 0.988
O30 0.466 0.875 0.488
O31 0.489 0.763 0.902
O32 0.492 0.177 0.401
O33 0.559 0.287 0.230
O34 0.560 0.593 0.726
O35 0.566 0.430 0.083
O36 0.573 0.439 0.580
O37 0.574 0.020 0.220
O38 0.574 0.844 0.721
O39 0.609 0.625 0.386
O40 0.617 0.192 0.884
O41 0.703 0.720 0.226
O42 0.705 0.013 0.727
O43 0.724 0.425 0.227
O44 0.728 0.292 0.725
O45 0.744 0.781 0.889
O46 0.750 0.916 0.392
O47 0.754 0.211 0.390
O48 0.761 0.483 0.888
O49 0.854 0.021 0.234
O50 0.855 0.572 0.731
O51 0.894 0.367 0.399
O52 0.896 0.772 0.036
O53 0.898 0.183 0.903
O54 0.902 0.757 0.537
O55 0.906 0.615 0.386
O56 0.913 0.914 0.889
O57 0.982 0.023 0.720
O58 0.986 0.433 0.216
# Crystal system ... triclinic
# Distance to the lowest polymorph of the same formula ... 7 meV per atom
# Energy of formation from the pure elements ... -122.2 eV/f.u.
# M_tot ... 3.0 μB per formula unit

---

Entry 5:
# Fe7P12WO48 (PBE with a Hubbard U, relaxed)
data_Fe7P12WO48
_symmetry_space_group_name_H-M 'P 1'
_symmetry_Int_Tables_number 1
_cell_length_a 8.790
_cell_length_b 8.796
_cell_length_c 12.242
_cell_angle_alpha 89.86
_cell_angle_beta 89.85
_cell_angle_gamma 89.95
loop_
_symmetry_equiv_pos_as_xyz
'x,y,z'
loop_
_atom_site_label
_atom_site_fract_x
_atom_site_fract_y
_atom_site_fract_z
Fe1 0.000 0.000 0.000
Fe2 0.000 0.498 0.738
Fe3 0.427 0.000 0.238
Fe4 0.430 0.499 0.502
Fe5 0.499 0.497 0.000
Fe6 0.928 0.498 0.239
Fe7 0.929 0.998 0.500
P1 0.070 0.139 0.264
P2 0.070 0.640 0.475
P3 0.213 0.215 0.616
P4 0.213 0.716 0.121
P5 0.354 0.142 0.976
P6 0.357 0.637 0.764
P7 0.571 0.355 0.264
P8 0.572 0.855 0.472
P9 0.713 0.782 0.121
P10 0.718 0.283 0.618
P11 0.858 0.357 0.975
P12 0.859 0.855 0.763
W1 0.499 0.997 0.735
O1 0.021 0.580 0.587
O2 0.023 0.080 0.151
O3 0.056 0.314 0.267
O4 0.056 0.814 0.468
O5 0.113 0.110 0.548
O6 0.115 0.610 0.191
O7 0.115 0.813 0.044
O8 0.122 0.311 0.698
O9 0.188 0.609 0.785
O10 0.191 0.097 0.949
O11 0.236 0.099 0.287
O12 0.238 0.598 0.452
O13 0.309 0.814 0.198
O14 0.313 0.311 0.542
O15 0.316 0.616 0.049
O16 0.319 0.105 0.686
O17 0.373 0.313 0.972
O18 0.383 0.817 0.769
O19 0.406 0.583 0.651
O20 0.409 0.073 0.083
O21 0.460 0.073 0.880
O22 0.461 0.934 0.394
O23 0.462 0.570 0.850
O24 0.465 0.423 0.351
O25 0.521 0.418 0.153
O26 0.528 0.913 0.591
O27 0.554 0.683 0.467
O28 0.558 0.181 0.265
O29 0.612 0.880 0.194
O30 0.616 0.175 0.692
O31 0.617 0.389 0.551
O32 0.617 0.685 0.043
O33 0.686 0.903 0.785
O34 0.691 0.400 0.953
O35 0.737 0.398 0.287
O36 0.737 0.899 0.451
O37 0.811 0.888 0.050
O38 0.813 0.186 0.541
O39 0.813 0.684 0.196
O40 0.814 0.376 0.697
O41 0.864 0.681 0.769
O42 0.872 0.183 0.972
O43 0.904 0.915 0.651
O44 0.906 0.418 0.087
O45 0.959 0.926 0.851
O46 0.963 0.069 0.349
O47 0.964 0.569 0.389
O48 0.966 0.429 0.890
# Crystal system ... triclinic
# Energy of formation from the pure elements ... -147.9 eV/f.u.
# M_tot ... 41.7 μB per formula unit

---

Entry 6:
# Rb2Pr2MgW4O16 (PBE with a Hubbard U, relaxed)
data_Rb2Pr2MgW4O16
_symmetry_space_group_name_H-M 'P 1'
_symmetry_Int_Tables_number 1
_cell_length_a 7.586
_cell_length_b 7.627
_cell_length_c 8.246
_cell_angle_alpha 87.37
_cell_angle_beta 63.00
_cell_angle_gamma 61.88
loop_
_symmetry_equiv_pos_as_xyz
'x,y,z'
loop_
_atom_site_label
_atom_site_fract_x
_atom_site_fract_y
_atom_site_fract_z
Rb1 0.000 0.000 0.000
Rb2 0.394 0.497 0.743
Pr1 0.446 0.019 0.077
Pr2 0.918 0.515 0.677
Mg1 0.570 0.258 0.358
W1 0.366 0.586 0.190
W2 0.485 0.958 0.558
W3 0.871 0.560 0.206
W4 0.982 0.963 0.558
O1 0.061 0.295 0.199
O2 0.105 0.631 0.147
O3 0.145 0.642 0.462
O4 0.198 0.907 0.289
O5 0.234 0.894 0.608
O6 0.300 0.245 0.546
O7 0.400 0.004 0.806
O8 0.496 0.285 0.148
O9 0.531 0.638 0.964
O10 0.616 0.495 0.272
O11 0.627 0.874 0.271
O12 0.730 0.649 0.489
O13 0.736 0.045 0.482
O14 0.817 0.899 0.779
O15 0.865 0.235 0.638
O16 0.933 0.546 0.961
# Crystal system ... triclinic
# Distance to the lowest polymorph of the same formula ... 0 meV per atom
# Energy of formation from the pure elements ... -64.6 eV/f.u.
# M_tot ... 2.0 μB per formula unit

---

Entry 7:
# Li9Co7O16 (PBE with a Hubbard U, relaxed)
data_Li9Co7O16
_symmetry_space_group_name_H-M 'P 1'
_symmetry_Int_Tables_number 1
_cell_length_a 2.972
_cell_length_b 5.060
_cell_length_c 19.007
_cell_angle_alpha 92.80
_cell_angle_beta 91.45
_cell_angle_gamma 90.75
loop_
_symmetry_equiv_pos_as_xyz
'x,y,z'
loop_
_atom_site_label
_atom_site_fract_x
_atom_site_fract_y
_atom_site_fract_z
Li1 0.000 0.000 0.000
Li2 0.000 0.498 0.500
Li3 0.496 0.626 0.374
Li4 0.499 0.874 0.126
Li5 0.500 0.999 0.500
Li6 0.502 0.122 0.873
Li7 0.504 0.371 0.625
Li8 0.998 0.250 0.749
Li9 0.998 0.748 0.250
Co1 0.008 0.630 0.874
Co2 0.490 0.756 0.749
Co3 0.494 0.244 0.250
Co4 0.514 0.497 0.999
Co5 0.999 0.122 0.380
Co6 0.999 0.367 0.125
Co7 0.999 0.874 0.620
O1 0.000 0.154 0.570
O2 0.000 0.843 0.430
O3 0.002 0.403 0.314
O4 0.006 0.657 0.061
O5 0.024 0.336 0.937
O6 0.450 0.540 0.187
O7 0.459 0.463 0.812
O8 0.460 0.042 0.687
O9 0.466 0.302 0.433
O10 0.532 0.695 0.566
O11 0.536 0.198 0.065
O12 0.542 0.956 0.312
O13 0.554 0.792 0.933
O14 0.987 0.594 0.686
O15 0.990 0.081 0.187
O16 0.996 0.919 0.812
# Crystal system ... triclinic
# Distance to the lowest polymorph of the same formula ... 88 meV per atom
# Energy of formation from the pure elements ... -53.4 eV/f.u.
# M_tot ... 9.9 μB per formula unit

---

Entry 8:
# Li4V3NiP4O16 (PBE with a Hubbard U, relaxed)
data_Li4V3NiP4O16
_symmetry_space_group_name_H-M 'P 1'
_symmetry_Int_Tables_number 1
_cell_length_a 4.757
_cell_length_b 6.075
_cell_length_c 10.429
_cell_angle_alpha 90.00
_cell_angle_beta 90.09
_cell_angle_gamma 90.00
loop_
_symmetry_equiv_pos_as_xyz
'x,y,z'
loop_
_atom_site_label
_atom_site_fract_x
_atom_site_fract_y
_atom_site_fract_z
Li1 0.000 0.249 0.000
Li2 0.000 0.751 0.000
Li3 0.499 0.251 0.503
Li4 0.499 0.749 0.503
V1 0.015 0.500 0.276
V2 0.516 0.000 0.225
V3 0.982 0.000 0.727
Ni1 0.484 0.500 0.777
P1 0.086 0.000 0.409
P2 0.418 0.000 0.907
P3 0.584 0.500 0.090
P4 0.911 0.500 0.598
O1 0.208 0.000 0.547
O2 0.223 0.203 0.339
O3 0.223 0.797 0.339
O4 0.235 0.500 0.604
O5 0.261 0.500 0.096
O6 0.285 0.205 0.836
O7 0.285 0.795 0.836
O8 0.290 0.000 0.044
O9 0.702 0.500 0.951
O10 0.722 0.297 0.160
O11 0.722 0.703 0.160
O12 0.740 0.000 0.906
O13 0.763 0.000 0.405
O14 0.770 0.298 0.667
O15 0.770 0.702 0.667
O16 0.794 0.500 0.458
# Crystal system ... monoclinic
# Energy of formation from the pure elements ... -71.9 eV/f.u.
# M_tot ... 11.0 μB per formula unit

---

Entry 9:
# MoO2 (PBE with a Hubbard U, relaxed)
data_MoO2
_symmetry_space_group_name_H-M 'P 1'
_symmetry_Int_Tables_number 1
_cell_length_a 6.169
_cell_length_b 6.227
_cell_length_c 20.787
_cell_angle_alpha 81.48
_cell_angle_beta 81.48
_cell_angle_gamma 63.22
loop_
_symmetry_equiv_pos_as_xyz
'x,y,z'
loop_
_atom_site_label
_atom_site_fract_x
_atom_site_fract_y
_atom_site_fract_z
Mo1 0.000 0.000 0.000
Mo2 0.002 0.986 0.499
Mo3 0.041 0.518 0.407
Mo4 0.133 0.610 0.132
Mo5 0.223 0.703 0.848
Mo6 0.262 0.239 0.253
Mo7 0.265 0.222 0.746
Mo8 0.291 0.751 0.652
Mo9 0.485 0.967 0.097
Mo10 0.509 0.477 0.499
Mo11 0.529 0.473 0.000
Mo12 0.739 0.220 0.340
Mo13 0.748 0.739 0.747
Mo14 0.761 0.740 0.253
Mo15 0.873 0.345 0.877
Mo16 0.982 0.458 0.590
O1 0.062 0.532 0.808
O2 0.066 0.541 0.313
O3 0.073 0.076 0.309
O4 0.085 0.044 0.815
O5 0.138 0.173 0.933
O6 0.158 0.202 0.441
O7 0.195 0.673 0.445
O8 0.215 0.684 0.943
O9 0.303 0.780 0.559
O10 0.305 0.307 0.562
O11 0.323 0.795 0.061
O12 0.333 0.316 0.066
O13 0.394 0.424 0.187
O14 0.412 0.443 0.688
O15 0.437 0.912 0.692
O16 0.461 0.940 0.192
O17 0.576 0.556 0.812
O18 0.580 0.020 0.792
O19 0.585 0.060 0.300
O20 0.598 0.550 0.309
O21 0.700 0.176 0.944
O22 0.705 0.609 0.932
O23 0.708 0.187 0.438
O24 0.724 0.636 0.441
O25 0.814 0.283 0.050
O26 0.822 0.296 0.556
O27 0.834 0.779 0.562
O28 0.838 0.809 0.066
O29 0.949 0.438 0.685
O30 0.950 0.868 0.187
O31 0.961 0.442 0.200
O32 0.972 0.872 0.689
# Crystal system ... triclinic
# Energy of formation from the pure elements ... -5.2 eV/f.u.
# M_tot ... 2.0 μB per formula unit

---

Entry 10:
# MoO2 (PBE with a Hubbard U, relaxed)
data_MoO2
_symmetry_space_group_name_H-M 'P 1'
_symmetry_Int_Tables_number 1
_cell_length_a 5.599
_cell_length_b 4.925
_cell_length_c 5.695
_cell_angle_alpha 90.00
_cell_angle_beta 120.09
_cell_angle_gamma 90.00
loop_
_symmetry_equiv_pos_as_xyz
'x,y,z'
loop_
_atom_site_label
_atom_site_fract_x
_atom_site_fract_y
_atom_site_fract_z
Mo1 0.231 0.008 0.214
Mo2 0.231 0.492 0.714
Mo3 0.769 0.508 0.286
Mo4 0.769 0.992 0.786
O1 0.112 0.716 0.377
O2 0.112 0.784 0.877
O3 0.390 0.196 0.593
O4 0.390 0.304 0.093
O5 0.610 0.696 0.907
O6 0.610 0.804 0.407
O7 0.888 0.216 0.123
O8 0.888 0.284 0.623
# Crystal system ... monoclinic
# Energy of formation from the pure elements ... -5.5 eV/f.u.

---

Entry 11:
# Li4Nb3V2Ni3O16 (PBE with a Hubbard U, relaxed)
data_Li4Nb3V2Ni3O16
_symmetry_space_group_name_H-M 'P 1'
_symmetry_Int_Tables_number 1
_cell_length_a 6.054
_cell_length_b 6.054
_cell_length_c 9.742
_cell_angle_alpha 90.08
_cell_angle_beta 90.08
_cell_angle_gamma 60.48
loop_
_symmetry_equiv_pos_as_xyz
'x,y,z'
loop_
_atom_site_label
_atom_site_fract_x
_atom_site_fract_y
_atom_site_fract_z
Li1 0.000 0.000 0.000
Li2 0.019 0.019 0.524
Li3 0.349 0.349 0.421
Li4 0.683 0.683 0.902
Nb1 0.196 0.196 0.739
Nb2 0.359 0.857 0.230
Nb3 0.857 0.359 0.230
V1 0.366 0.366 0.995
V2 0.698 0.698 0.521
Ni1 0.205 0.674 0.729
Ni2 0.674 0.205 0.729
Ni3 0.850 0.850 0.234
O1 0.020 0.020 0.815
O2 0.024 0.024 0.335
O3 0.051 0.495 0.862
O4 0.186 0.186 0.123
O5 0.199 0.692 0.121
O6 0.345 0.345 0.617
O7 0.366 0.855 0.612
O8 0.495 0.051 0.862
O9 0.501 0.501 0.865
O10 0.529 0.974 0.361
O11 0.536 0.536 0.352
O12 0.680 0.680 0.118
O13 0.692 0.199 0.121
O14 0.846 0.846 0.603
O15 0.855 0.366 0.612
O16 0.974 0.529 0.361
# Crystal system ... monoclinic
# Energy of formation from the pure elements ... -66.0 eV/f.u.
# M_tot ... 9.0 μB per formula unit

---

Which formula does entry 1 have? Sr2FeCoO6

---

What did the sixth record say?
# Rb2Pr2MgW4O16 (PBE with a Hubbard U, relaxed)
data_Rb2Pr2MgW4O16
_symmetry_space_group_name_H-M 'P 1'
_symmetry_Int_Tables_number 1
_cell_length_a 7.586
_cell_length_b 7.627
_cell_length_c 8.246
_cell_angle_alpha 87.37
_cell_angle_beta 63.00
_cell_angle_gamma 61.88
loop_
_symmetry_equiv_pos_as_xyz
'x,y,z'
loop_
_atom_site_label
_atom_site_fract_x
_atom_site_fract_y
_atom_site_fract_z
Rb1 0.000 0.000 0.000
Rb2 0.394 0.497 0.743
Pr1 0.446 0.019 0.077
Pr2 0.918 0.515 0.677
Mg1 0.570 0.258 0.358
W1 0.366 0.586 0.190
W2 0.485 0.958 0.558
W3 0.871 0.560 0.206
W4 0.982 0.963 0.558
O1 0.061 0.295 0.199
O2 0.105 0.631 0.147
O3 0.145 0.642 0.462
O4 0.198 0.907 0.289
O5 0.234 0.894 0.608
O6 0.300 0.245 0.546
O7 0.400 0.004 0.806
O8 0.496 0.285 0.148
O9 0.531 0.638 0.964
O10 0.616 0.495 0.272
O11 0.627 0.874 0.271
O12 0.730 0.649 0.489
O13 0.736 0.045 0.482
O14 0.817 0.899 0.779
O15 0.865 0.235 0.638
O16 0.933 0.546 0.961
# Crystal system ... triclinic
# Distance to the lowest polymorph of the same formula ... 0 meV per atom
# Energy of formation from the pure elements ... -64.6 eV/f.u.
# M_tot ... 2.0 μB per formula unit